The following is a r2SCAN calculation of a geometry-optimized TmRh2Pb structure, from Materials Project.

a = 6.643 Å, b = 6.643 Å, c = 6.643 Å
α = 90.00°, β = 90.00°, γ = 90.00°
Space group Fm-3m (No. 225)
One atom of each set of equivalent atoms:
Tm (0.000, 0.000, 0.000) x4
Rh (0.250, 0.250, 0.250) x8
Pb (0.000, 0.000, 0.500) x4

formation enthalpy at 0 K = -0.65 eV/atom
electronic total energy = -35.5744 eV per atom
total moment = 3.42 Bohr magnetons per cell

The following is a r2SCAN calculation of a geometry-optimized InPbCl3 structure, from Materials Project.

a = 8.149 Å, b = 7.927 Å, c = 5.698 Å
α = 90.00°, β = 91.53°, γ = 90.00°
Space group Cm (No. 8)
One atom of each set of equivalent atoms:
In (0.000, 0.000, 0.000) x2
Pb (0.106, 0.500, 0.397) x2
Cl (0.142, 0.500, 0.898) x2
Cl (0.374, 0.269, 0.358) x4

formation enthalpy at 0 K = -1.10 eV/atom
electronic total energy = -20.5687 eV per atom
total moment = 0.00 Bohr magnetons per cell

The following is a r2SCAN calculation of a geometry-optimized NaSe structure, from Materials Project.

a = 4.6485 Å, b = 4.6485 Å, c = 10.7614 Å
α = 90.00°, β = 90.00°, γ = 120.00°
Space group P6_3/mmc (No. 194)
One atom of each set of equivalent atoms:
Na (0.0000, 0.0000, 0.0000) x2
Na (0.3333, 0.6667, 0.2500) x2
Se (0.3333, 0.6667, 0.6364) x4

formation enthalpy at 0 K = -1.00 eV/atom
electronic total energy = -9.9380 eV per atom
total moment = 0.00 Bohr magnetons per cell

The following is a r2SCAN calculation of a geometry-optimized Sm3Sb4Pt7 structure, from Materials Project.

a = 16.578 Å, b = 4.273 Å, c = 10.489 Å
α = 90.00°, β = 129.02°, γ = 90.00°
Space group C2/m (No. 12)
One atom of each set of equivalent atoms:
Sm (0.000, 0.000, 0.000) x2
Sm (0.171, 0.500, 0.685) x4
Sb (0.140, 0.000, 0.410) x4
Sb (0.171, 0.500, 0.024) x4
Pt (0.000, 0.000, 0.500) x2
Pt (0.017, 0.500, 0.327) x4
Pt (0.123, 0.000, 0.845) x4
Pt (0.170, 0.500, 0.269) x4

formation enthalpy at 0 K = -0.98 eV/atom
electronic total energy = -40.4425 eV per atom
total moment = 0.00 Bohr magnetons per cell

Look up the total moment of the fourth one.
0.00 Bohr magnetons per cell

Which formula does entry 4 have?
Sm3Sb4Pt7